# 1
A geometry-optimized CuSO4 structure. Source: the Materials Project database, functional r2SCAN.

The energy relative to the elements is -7.45 eV per formula unit. The space-group type is Pnma (62). The value obtained for the final energy is -8.371 eV per atom.

a b c (Å): 8.3848 6.6167 4.8516
angles (deg): 90.00 90.00 90.00
Sites, in units of the cell vectors:
1 Cu 0.0000 0.0000 0.0000
2 Cu 0.0000 0.5000 0.0000
3 Cu 0.5000 0.0000 0.5000
4 Cu 0.5000 0.5000 0.5000
5 S 0.1827 0.2500 0.4510
6 S 0.3173 0.7500 0.9510
7 S 0.6827 0.2500 0.0490
8 S 0.8173 0.7500 0.5490
9 O 0.1307 0.0647 0.3116
10 O 0.1307 0.4353 0.3116
11 O 0.1321 0.2500 0.7367
12 O 0.1358 0.7500 0.9322
13 O 0.3642 0.2500 0.4322
14 O 0.3679 0.7500 0.2367
15 O 0.3693 0.5647 0.8116
16 O 0.3693 0.9353 0.8116
17 O 0.6307 0.0647 0.1884
18 O 0.6307 0.4353 0.1884
19 O 0.6321 0.2500 0.7633
20 O 0.6358 0.7500 0.5678
21 O 0.8642 0.2500 0.0678
22 O 0.8679 0.7500 0.2633
23 O 0.8693 0.5647 0.6884
24 O 0.8693 0.9353 0.6884

=====

# 2
A geometry-optimized NdLuIn2 structure. Source: the Materials Project database, functional r2SCAN.

The energy relative to the elements is -2.23 eV per formula unit. The space-group type is Fm-3m (225). The value obtained for the final energy is -28.720 eV per atom.

a b c (Å): 5.3339 5.3339 5.3339
angles (deg): 60.00 60.00 60.00
Sites, in units of the cell vectors:
1 Nd 0.0000 0.0000 0.0000
2 Lu 0.5000 0.5000 0.5000
3 In 0.2500 0.2500 0.2500
4 In 0.7500 0.7500 0.7500

=====

# 3
A geometry-optimized HoHfRu2 structure. Source: the Materials Project database, functional r2SCAN.

The energy relative to the elements is -2.56 eV per formula unit. The space-group type is Fm-3m (225). The value obtained for the final energy is -32.861 eV per atom.

a b c (Å): 4.6488 4.6488 4.6488
angles (deg): 60.00 60.00 60.00
Sites, in units of the cell vectors:
1 Ho 0.0000 0.0000 0.0000
2 Hf 0.5000 0.5000 0.5000
3 Ru 0.2500 0.2500 0.2500
4 Ru 0.7500 0.7500 0.7500

=====

# 4
A geometry-optimized MnV2O6 structure. Source: the Materials Project database, functional r2SCAN.

The energy relative to the elements is -22.06 eV per formula unit. The space-group type is C2/c (15). The value obtained for the final energy is -11.196 eV per atom.

a b c (Å): 6.7683 6.7683 5.8250
angles (deg): 105.48 105.48 83.94
Sites, in units of the cell vectors:
1 Mn 0.0863 0.9137 0.7500
2 Mn 0.9137 0.0863 0.2500
3 V 0.2084 0.3890 0.7545
4 V 0.3890 0.2084 0.2545
5 V 0.6110 0.7916 0.7455
6 V 0.7916 0.6110 0.2455
7 O 0.0401 0.1946 0.6378
8 O 0.0873 0.6182 0.7761
9 O 0.1946 0.0401 0.1378
10 O 0.3543 0.3687 0.0498
11 O 0.3687 0.3543 0.5498
12 O 0.3818 0.9127 0.7239
13 O 0.6182 0.0873 0.2761
14 O 0.6313 0.6457 0.4502
15 O 0.6457 0.6313 0.9502
16 O 0.8054 0.9599 0.8622
17 O 0.9127 0.3818 0.2239
18 O 0.9599 0.8054 0.3622

=====

# 5
A geometry-optimized CaSi2Au2 structure. Source: the Materials Project database, functional r2SCAN.

The energy relative to the elements is -2.57 eV per formula unit. The space-group type is I4/mmm (139). The value obtained for the final energy is -25.665 eV per atom.

a b c (Å): 5.8856 5.8856 5.8856
angles (deg): 136.80 136.80 62.75
Sites, in units of the cell vectors:
1 Ca 0.0000 0.0000 0.0000
2 Si 0.3850 0.3850 0.0000
3 Si 0.6150 0.6150 0.0000
4 Au 0.2500 0.7500 0.5000
5 Au 0.7500 0.2500 0.5000

=====

# 6
A geometry-optimized Rb4PbBr6 structure. Source: the Materials Project database, functional r2SCAN.

The energy relative to the elements is -19.33 eV per formula unit. The space-group type is R-3c (167). The value obtained for the final energy is -19.172 eV per atom.

a b c (Å): 9.5026 9.5026 9.5026
angles (deg): 89.66 89.66 89.66
Sites, in units of the cell vectors:
1 Rb 0.1294 0.7500 0.3706
2 Rb 0.2500 0.2500 0.2500
3 Rb 0.2500 0.6294 0.8706
4 Rb 0.3706 0.1294 0.7500
5 Rb 0.6294 0.8706 0.2500
6 Rb 0.7500 0.3706 0.1294
7 Rb 0.7500 0.7500 0.7500
8 Rb 0.8706 0.2500 0.6294
9 Pb 0.0000 0.0000 0.0000
10 Pb 0.5000 0.5000 0.5000
11 Br 0.0593 0.9264 0.6957
12 Br 0.0736 0.3043 0.9407
13 Br 0.1957 0.4264 0.5593
14 Br 0.3043 0.9407 0.0736
15 Br 0.4264 0.5593 0.1957
16 Br 0.4407 0.8043 0.5736
17 Br 0.5593 0.1957 0.4264
18 Br 0.5736 0.4407 0.8043
19 Br 0.6957 0.0593 0.9264
20 Br 0.8043 0.5736 0.4407
21 Br 0.9264 0.6957 0.0593
22 Br 0.9407 0.0736 0.3043

=====

# 7
A geometry-optimized NaTl structure. Source: the Materials Project database, functional r2SCAN.

The energy relative to the elements is -0.24 eV per formula unit. The space-group type is Cmce (64). The value obtained for the final energy is -28.494 eV per atom.

a b c (Å): 9.5770 9.5770 7.6683
angles (deg): 90.00 90.00 92.80
Sites, in units of the cell vectors:
1 Na 0.0582 0.4418 0.7500
2 Na 0.1562 0.1562 0.0000
3 Na 0.2109 0.7891 0.9392
4 Na 0.2891 0.7109 0.4392
5 Na 0.3438 0.3438 0.5000
6 Na 0.4418 0.0582 0.2500
7 Na 0.5582 0.9418 0.7500
8 Na 0.6562 0.6562 0.5000
9 Na 0.7109 0.2891 0.5608
10 Na 0.7891 0.2109 0.0608
11 Na 0.8438 0.8438 0.0000
12 Na 0.9418 0.5582 0.2500
13 Tl 0.0279 0.2504 0.3803
14 Tl 0.0673 0.9327 0.2941
15 Tl 0.2504 0.0279 0.6197
16 Tl 0.2496 0.4721 0.1197
17 Tl 0.4327 0.5673 0.7941
18 Tl 0.4721 0.2496 0.8803
19 Tl 0.5279 0.7504 0.1197
20 Tl 0.5673 0.4327 0.2059
21 Tl 0.7504 0.5279 0.8803
22 Tl 0.7496 0.9721 0.3803
23 Tl 0.9327 0.0673 0.7059
24 Tl 0.9721 0.7496 0.6197

=====

# 8
A geometry-optimized ErNiBi structure. Source: the Materials Project database, functional r2SCAN.

The energy relative to the elements is -2.21 eV per formula unit. The space-group type is F-43m (216). The value obtained for the final energy is -35.541 eV per atom.

a b c (Å): 4.5218 4.5218 4.5218
angles (deg): 60.00 60.00 60.00
Sites, in units of the cell vectors:
1 Er 0.0000 0.0000 0.0000
2 Ni 0.2500 0.2500 0.2500
3 Bi 0.5000 0.5000 0.5000